Entry 1:
A geometry-optimized NaCa8SmTi10Si10O50 structure, computed with GGA-PBE.

The calculation puts the total energy at -644.92 eV/cell. The MP2020-corrected energy is -8.491 eV per atom. For the energy of formation, the calculation gives -79.73 kcal/mol of atoms. The spin magnetization is 0.00 μB per formula unit.

Unit cell a=5.501 b=7.519 c=24.294 alpha=81.89 beta=87.52 gamma=72.46
Sites, in units of the cell vectors:
Na  0.000  0.000  0.000
Ca  0.176  0.167  0.166
Ca  0.200  0.802  0.599
Ca  0.377  0.966  0.767
Ca  0.401  0.601  0.199
Ca  0.576  0.766  0.367
Ca  0.600  0.403  0.798
Ca  0.801  0.202  0.399
Ca  0.977  0.366  0.567
Sm  0.773  0.566  0.968
Ti  0.092  0.588  0.083
Ti  0.188  0.484  0.383
Ti  0.288  0.384  0.683
Ti  0.389  0.269  0.985
Ti  0.488  0.184  0.283
Ti  0.588  0.084  0.583
Ti  0.691  0.989  0.883
Ti  0.787  0.886  0.183
Ti  0.888  0.784  0.483
Ti  0.986  0.686  0.783
Si  0.083  0.907  0.296
Si  0.092  0.264  0.870
Si  0.285  0.705  0.896
Si  0.293  0.061  0.469
Si  0.483  0.507  0.497
Si  0.494  0.857  0.069
Si  0.683  0.308  0.097
Si  0.692  0.661  0.669
Si  0.883  0.107  0.696
Si  0.893  0.462  0.269
O  0.031  0.890  0.724
O  0.036  0.708  0.146
O  0.061  0.230  0.715
O  0.075  0.911  0.228
O  0.094  0.271  0.937
O  0.115  0.938  0.451
O  0.140  0.461  0.019
O  0.145  0.278  0.441
O  0.183  0.380  0.244
O  0.193  0.587  0.522
O  0.231  0.690  0.325
O  0.234  0.506  0.747
O  0.261  0.030  0.315
O  0.277  0.711  0.828
O  0.301  0.057  0.538
O  0.322  0.731  0.051
O  0.340  0.262  0.619
O  0.355  0.076  0.043
O  0.382  0.182  0.844
O  0.393  0.387  0.123
O  0.436  0.306  0.347
O  0.439  0.491  0.925
O  0.463  0.828  0.914
O  0.475  0.511  0.428
O  0.504  0.854  0.137
O  0.515  0.538  0.651
O  0.539  0.061  0.219
O  0.545  0.878  0.641
O  0.583  0.980  0.444
O  0.593  0.188  0.722
O  0.631  0.290  0.525
O  0.632  0.106  0.946
O  0.661  0.630  0.515
O  0.667  0.321  0.029
O  0.700  0.657  0.737
O  0.715  0.337  0.251
O  0.740  0.864  0.818
O  0.746  0.677  0.241
O  0.780  0.769  0.042
O  0.793  0.987  0.322
O  0.827  0.091  0.125
O  0.836  0.906  0.547
O  0.864  0.428  0.115
O  0.875  0.111  0.628
O  0.901  0.457  0.338
O  0.918  0.138  0.852
O  0.940  0.662  0.419
O  0.941  0.480  0.841
O  0.983  0.581  0.644
O  0.991  0.778  0.920

Entry 2:
A geometry-optimized Na9CaTa5Si9O36 structure, computed with GGA-PBE.

The calculation puts the total energy at -1836.78 eV/cell. The MP2020-corrected energy is -8.065 eV per atom. For the energy of formation, the calculation gives -70.63 kcal/mol of atoms. The spin magnetization is 0.00 μB per formula unit.

Unit cell a=15.827 b=27.362 c=9.107 alpha=89.86 beta=125.05 gamma=90.09
Sites, in units of the cell vectors:
O  0.412  0.176  0.569
O  0.341  0.649  0.236
O  0.746  0.392  0.273
O  0.346  0.295  0.576
O  0.558  0.613  0.560
O  0.142  0.140  0.232
O  0.090  0.047  0.238
O  0.525  0.043  0.075
O  0.137  0.880  0.419
O  0.570  0.809  0.424
O  0.590  0.547  0.238
O  0.143  0.119  0.920
O  0.912  0.676  0.569
O  0.246  0.892  0.273
O  0.464  0.725  0.440
O  0.528  0.721  0.073
O  0.257  0.602  0.745
O  0.844  0.129  0.573
O  0.260  0.114  0.782
O  0.756  0.564  0.234
O  0.539  0.941  0.568
O  0.058  0.113  0.560
O  0.537  0.387  0.070
O  0.428  0.443  0.767
O  0.754  0.232  0.240
O  0.941  0.315  0.072
O  0.841  0.149  0.236
O  0.840  0.814  0.232
O  0.256  0.397  0.243
O  0.587  0.451  0.744
O  0.425  0.884  0.266
O  0.228  0.225  0.234
O  0.411  0.509  0.555
O  0.866  0.452  0.587
O  0.846  0.795  0.576
O  0.153  0.194  0.748
O  0.757  0.769  0.743
O  0.361  0.396  0.096
O  0.760  0.614  0.782
O  0.463  0.391  0.443
O  0.845  0.192  0.785
O  0.454  0.136  0.086
O  0.460  0.609  0.924
O  0.925  0.384  0.266
O  0.724  0.059  0.226
O  0.948  0.978  0.064
O  0.052  0.782  0.548
O  0.847  0.857  0.790
O  0.634  0.284  0.903
O  0.254  0.732  0.240
O  0.146  0.547  0.428
O  0.915  0.710  0.227
O  0.917  0.046  0.229
O  0.366  0.952  0.587
O  0.072  0.643  0.428
O  0.565  0.476  0.418
O  0.652  0.972  0.250
O  0.965  0.442  0.936
O  0.954  0.636  0.086
O  0.067  0.689  0.921
O  0.356  0.729  0.088
O  0.039  0.441  0.568
O  0.653  0.694  0.748
O  0.087  0.951  0.744
O  0.749  0.945  0.762
O  0.757  0.102  0.745
O  0.347  0.357  0.790
O  0.439  0.109  0.790
O  0.558  0.524  0.906
O  0.256  0.064  0.234
O  0.081  0.286  0.735
O  0.642  0.640  0.232
O  0.960  0.109  0.924
O  0.645  0.023  0.732
O  0.963  0.891  0.443
O  0.570  0.855  0.932
O  0.347  0.023  0.758
O  0.087  0.381  0.247
O  0.353  0.047  0.078
O  0.249  0.445  0.762
O  0.037  0.887  0.070
O  0.728  0.725  0.234
O  0.352  0.976  0.270
O  0.144  0.808  0.232
O  0.256  0.938  0.732
O  0.461  0.274  0.930
O  0.143  0.451  0.922
O  0.465  0.942  0.936
O  0.643  0.619  0.920
O  0.911  0.009  0.555
O  0.134  0.784  0.903
O  0.552  0.282  0.548
O  0.939  0.609  0.790
O  0.925  0.282  0.763
O  0.856  0.229  0.088
O  0.643  0.714  0.426
O  0.425  0.782  0.763
O  0.644  0.308  0.232
O  0.961  0.774  0.930
O  0.572  0.143  0.428
O  0.637  0.380  0.419
O  0.861  0.896  0.096
O  0.852  0.476  0.270
O  0.643  0.951  0.922
O  0.070  0.309  0.424
O  0.085  0.616  0.742
O  0.753  0.280  0.771
O  0.963  0.557  0.432
O  0.463  0.057  0.432
O  0.344  0.629  0.573
O  0.435  0.857  0.580
O  0.448  0.478  0.064
O  0.145  0.523  0.732
O  0.567  0.189  0.921
O  0.070  0.355  0.932
O  0.028  0.221  0.073
O  0.152  0.472  0.250
O  0.964  0.225  0.440
O  0.058  0.024  0.906
O  0.089  0.711  0.237
O  0.441  0.815  0.072
O  0.345  0.692  0.785
O  0.581  0.786  0.735
O  0.143  0.214  0.426
O  0.065  0.976  0.418
O  0.585  0.116  0.742
O  0.589  0.211  0.237
O  0.340  0.314  0.232
O  0.415  0.210  0.227
O  0.587  0.881  0.247
O  0.417  0.546  0.229
O  0.935  0.357  0.580
O  0.257  0.269  0.743
O  0.756  0.897  0.243
O  0.650  0.361  0.748
O  0.847  0.523  0.758
O  0.928  0.943  0.767
O  0.853  0.547  0.078
O  0.253  0.780  0.771
O  0.756  0.438  0.732
O  0.224  0.559  0.226
O  0.646  0.047  0.428
O  0.150  0.861  0.748
O  0.025  0.543  0.075
Si  0.138  0.200  0.241
Si  0.502  0.847  0.253
Si  0.002  0.650  0.751
Si  0.356  0.371  0.256
Si  0.005  0.678  0.245
Si  0.353  0.707  0.252
Si  0.147  0.801  0.737
Si  0.501  0.820  0.752
Si  0.853  0.207  0.252
Si  0.856  0.871  0.256
Si  0.142  0.532  0.247
Si  0.855  0.463  0.752
Si  0.644  0.367  0.250
Si  0.151  0.133  0.748
Si  0.642  0.032  0.247
Si  0.144  0.867  0.250
Si  0.352  0.299  0.757
Si  0.004  0.013  0.242
Si  0.353  0.036  0.255
Si  0.852  0.799  0.757
Si  0.998  0.983  0.739
Si  0.146  0.463  0.745
Si  0.355  0.963  0.752
Si  0.638  0.700  0.241
Si  0.651  0.633  0.748
Si  0.350  0.634  0.753
Si  0.502  0.150  0.751
Si  0.002  0.347  0.253
Si  0.647  0.301  0.737
Si  0.853  0.536  0.255
Si  0.850  0.134  0.753
Si  0.001  0.320  0.752
Si  0.646  0.963  0.745
Si  0.498  0.483  0.739
Si  0.504  0.513  0.242
Si  0.505  0.178  0.245
Ta  0.108  0.917  0.569
Ta  0.895  0.580  0.937
Ta  0.608  0.417  0.569
Ta  0.606  0.916  0.068
Ta  0.395  0.080  0.937
Ta  0.892  0.415  0.434
Ta  0.607  0.250  0.058
Ta  0.391  0.754  0.935
Ta  0.398  0.417  0.939
Ta  0.601  0.581  0.055
Ta  0.107  0.584  0.571
Ta  0.898  0.917  0.939
Ta  0.392  0.915  0.434
Ta  0.107  0.750  0.058
Ta  0.891  0.254  0.935
Ta  0.101  0.081  0.055
Ta  0.106  0.251  0.572
Ta  0.606  0.751  0.572
Ta  0.106  0.416  0.068
Ta  0.607  0.084  0.571
Ca  0.402  0.583  0.443
Ca  0.401  0.248  0.443
Ca  0.902  0.083  0.443
Ca  0.901  0.748  0.443
Na  0.998  0.464  0.251
Na  0.254  0.254  0.011
Na  0.813  0.690  0.691
Na  0.998  0.127  0.265
Na  0.004  0.535  0.757
Na  0.200  0.307  0.286
Na  0.989  0.863  0.725
Na  0.998  0.792  0.257
Na  0.253  0.415  0.508
Na  0.257  0.589  0.014
Na  0.498  0.964  0.251
Na  0.489  0.363  0.725
Na  0.817  0.984  0.245
Na  0.309  0.151  0.239
Na  0.248  0.915  0.999
Na  0.204  0.644  0.280
Na  0.704  0.144  0.280
Na  0.741  0.577  0.496
Na  0.748  0.415  0.999
Na  0.817  0.025  0.695
Na  0.757  0.089  0.014
Na  0.488  0.698  0.729
Na  0.988  0.198  0.729
Na  0.313  0.190  0.691
Na  0.809  0.651  0.239
Na  0.745  0.256  0.503
Na  0.753  0.915  0.508
Na  0.245  0.756  0.503
Na  0.317  0.484  0.245
Na  0.700  0.807  0.286
Na  0.317  0.525  0.695
Na  0.241  0.077  0.496
Na  0.504  0.035  0.757
Na  0.498  0.292  0.257
Na  0.754  0.754  0.011
Na  0.498  0.627  0.265

Entry 3:
A geometry-optimized Na7CaTa3Si6O24 structure, computed with GGA-PBE.

The calculation puts the total energy at -915.25 eV/cell. The MP2020-corrected energy is -7.843 eV per atom. For the energy of formation, the calculation gives -69.42 kcal/mol of atoms. The spin magnetization is 0.00 μB per formula unit.

Unit cell a=9.186 b=9.186 c=22.551 alpha=90.00 beta=90.00 gamma=120.00
Sites, in units of the cell vectors:
Na  0.000  0.000  0.076
Na  0.000  0.000  0.591
Na  0.049  0.348  0.165
Na  0.299  0.951  0.165
Na  0.310  0.292  0.000
Na  0.316  0.039  0.505
Na  0.333  0.667  0.253
Na  0.333  0.667  0.758
Na  0.353  0.006  0.845
Na  0.353  0.349  0.345
Na  0.651  0.004  0.345
Na  0.652  0.701  0.165
Na  0.654  0.647  0.845
Na  0.667  0.333  0.427
Na  0.667  0.333  0.924
Na  0.708  0.018  0.000
Na  0.723  0.684  0.505
Na  0.961  0.277  0.505
Na  0.982  0.690  0.000
Na  0.994  0.346  0.845
Na  0.996  0.647  0.345
Ca  0.000  0.000  0.444
Ca  0.000  0.000  0.934
Ca  0.333  0.667  0.111
Ta  0.000  0.000  0.239
Ta  0.000  0.000  0.737
Ta  0.333  0.667  0.406
Ta  0.333  0.667  0.617
Ta  0.333  0.667  0.908
Ta  0.667  0.333  0.068
Ta  0.667  0.333  0.278
Ta  0.667  0.333  0.572
Ta  0.667  0.333  0.772
Si  0.033  0.371  0.011
Si  0.042  0.655  0.512
Si  0.301  0.001  0.344
Si  0.303  0.302  0.841
Si  0.338  0.967  0.011
Si  0.345  0.387  0.512
Si  0.368  0.042  0.673
Si  0.372  0.319  0.176
Si  0.613  0.958  0.512
Si  0.629  0.662  0.011
Si  0.673  0.632  0.673
Si  0.681  0.052  0.176
Si  0.698  0.002  0.841
Si  0.700  0.699  0.344
Si  0.948  0.628  0.176
Si  0.958  0.327  0.673
Si  0.998  0.697  0.841
Si  0.999  0.300  0.344
O  0.002  0.185  0.003
O  0.025  0.821  0.512
O  0.026  0.194  0.288
O  0.028  0.836  0.788
O  0.129  0.647  0.182
O  0.131  0.443  0.072
O  0.140  0.641  0.450
O  0.142  0.499  0.953
O  0.146  0.494  0.669
O  0.157  0.660  0.567
O  0.164  0.192  0.788
O  0.167  0.974  0.288
O  0.176  0.691  0.847
O  0.179  0.205  0.512
O  0.179  0.480  0.347
O  0.183  0.998  0.003
O  0.184  0.026  0.682
O  0.187  0.144  0.182
O  0.247  0.059  0.402
O  0.257  0.196  0.900
O  0.301  0.821  0.347
O  0.309  0.485  0.847
O  0.311  0.869  0.072
O  0.340  0.497  0.567
O  0.348  0.854  0.669
O  0.353  0.482  0.182
O  0.357  0.858  0.953
O  0.359  0.499  0.450
O  0.469  0.162  0.614
O  0.470  0.301  0.117
O  0.480  0.314  0.233
O  0.489  0.145  0.729
O  0.498  0.150  0.332
O  0.498  0.343  0.826
O  0.501  0.643  0.953
O  0.501  0.860  0.450
O  0.503  0.843  0.567
O  0.506  0.652  0.669
O  0.515  0.824  0.847
O  0.518  0.871  0.182
O  0.520  0.376  0.512
O  0.520  0.699  0.347
O  0.525  0.146  0.012
O  0.557  0.689  0.072
O  0.621  0.475  0.012
O  0.624  0.145  0.512
O  0.652  0.502  0.332
O  0.656  0.511  0.729
O  0.657  0.155  0.826
O  0.686  0.165  0.233
O  0.693  0.531  0.614
O  0.699  0.169  0.117
O  0.795  0.975  0.512
O  0.804  0.061  0.900
O  0.806  0.833  0.288
O  0.808  0.972  0.788
O  0.812  0.753  0.402
O  0.815  0.817  0.003
O  0.831  0.530  0.117
O  0.835  0.520  0.233
O  0.838  0.307  0.614
O  0.841  0.816  0.682
O  0.845  0.502  0.826
O  0.850  0.348  0.332
O  0.854  0.379  0.012
O  0.855  0.344  0.729
O  0.855  0.480  0.512
O  0.856  0.043  0.182
O  0.939  0.743  0.900
O  0.941  0.188  0.402
O  0.957  0.813  0.182
O  0.974  0.159  0.682

Question: What is the formula in the second record?
Answer: Na9CaTa5Si9O36